This record from the Materials Project database describes a relaxed Ba2Nd2Si4O13 crystal. The functional is GGA-PBE.

Computed properties:
Its total energy is -7.821 eV per atom. For the formation energy, the calculation gives -3.5126 eV per atom. The value obtained for the energy with MP2020 corrections is -8.2459 eV/atom.

a = 6.725 Å, b = 9.032 Å, c = 10.228 Å
α = 86.48°, β = 73.58°, γ = 86.45°
Atoms (fractional coordinates):
Ba1 0.271 0.170 0.444
Ba2 0.745 0.673 0.926
Ba3 0.255 0.327 0.074
Ba4 0.729 0.830 0.556
Nd1 0.194 0.880 0.102
Nd2 0.806 0.120 0.898
Nd3 0.311 0.608 0.396
Nd4 0.689 0.392 0.604
Si1 0.105 0.440 0.687
Si2 0.302 0.622 0.845
Si3 0.823 0.114 0.324
Si4 0.895 0.560 0.313
Si5 0.389 0.067 0.823
Si6 0.177 0.886 0.676
Si7 0.698 0.378 0.155
Si8 0.611 0.933 0.177
O1 0.168 0.773 0.812
O2 0.838 0.905 0.065
O3 0.850 0.516 0.166
O4 0.531 0.604 0.740
O5 0.053 0.038 0.296
O6 0.947 0.962 0.704
O7 0.652 0.984 0.322
O8 0.029 0.425 0.369
O9 0.832 0.227 0.188
O10 0.304 0.630 0.002
O11 0.331 0.414 0.574
O12 0.528 0.214 0.796
O13 0.469 0.396 0.260
O14 0.721 0.184 0.470
O15 0.472 0.786 0.204
O16 0.279 0.816 0.530
O17 0.483 0.071 0.120
O18 0.150 0.484 0.834
O19 0.162 0.095 0.935
O20 0.968 0.292 0.708
O21 0.971 0.575 0.631
O22 0.348 0.016 0.678
O23 0.669 0.586 0.426
O24 0.696 0.370 0.998
O25 0.032 0.708 0.292
O26 0.517 0.929 0.880